Record 1
{"formula": "LiMnP2O7", "functional": "PBE+U", "state": "optimized geometry", "final_energy_ev_per_cell": -156.502, "e_above_lowest_polymorph_mev_per_atom": 3, "lattice_angstrom": [[6.210, 0.000, 0.000], [0.878, 6.186, 0.000], [2.576, 0.635, 6.771]], "species": ["Li", "Li", "Mn", "Mn", "P", "P", "P", "P", "O", "O", "O", "O", "O", "O", "O", "O", "O", "O", "O", "O", "O", "O"], "fractional_positions": [[0.206, 0.008, 0.345], [0.794, 0.992, 0.655], [0.400, 0.353, 0.747], [0.600, 0.647, 0.253], [0.152, 0.609, 0.143], [0.283, 0.860, 0.741], [0.717, 0.140, 0.259], [0.848, 0.391, 0.857], [0.102, 0.397, 0.721], [0.113, 0.940, 0.637], [0.139, 0.797, 0.970], [0.266, 0.400, 0.052], [0.284, 0.698, 0.257], [0.438, 0.035, 0.742], [0.447, 0.657, 0.659], [0.553, 0.343, 0.341], [0.562, 0.965, 0.258], [0.716, 0.302, 0.743], [0.734, 0.600, 0.948], [0.861, 0.203, 0.030], [0.887, 0.060, 0.363], [0.898, 0.603, 0.279]]}

Record 2
{"formula": "Li3Mn3P4O16", "functional": "PBE+U", "state": "optimized geometry", "final_energy_ev_per_cell": -366.068, "e_above_lowest_polymorph_mev_per_atom": 35, "lattice_angstrom": [[6.151, 0.000, 0.000], [0.000, 11.702, 0.000], [-1.454, 0.000, 8.294]], "species": ["Li", "Li", "Li", "Li", "Li", "Li", "Mn", "Mn", "Mn", "Mn", "Mn", "Mn", "P", "P", "P", "P", "P", "P", "P", "P", "O", "O", "O", "O", "O", "O", "O", "O", "O", "O", "O", "O", "O", "O", "O", "O", "O", "O", "O", "O", "O", "O", "O", "O", "O", "O", "O", "O", "O", "O", "O", "O"], "fractional_positions": [[0.129, 0.000, 0.430], [0.297, 0.028, 0.806], [0.351, 0.795, 0.543], [0.649, 0.295, 0.457], [0.703, 0.528, 0.194], [0.871, 0.500, 0.570], [0.098, 0.286, 0.219], [0.122, 0.685, 0.163], [0.439, 0.455, 0.789], [0.561, 0.955, 0.211], [0.878, 0.185, 0.837], [0.902, 0.786, 0.781], [0.038, 0.959, 0.089], [0.145, 0.257, 0.583], [0.372, 0.515, 0.417], [0.421, 0.780, 0.911], [0.579, 0.280, 0.089], [0.628, 0.015, 0.583], [0.855, 0.757, 0.417], [0.962, 0.459, 0.911], [0.007, 0.331, 0.979], [0.057, 0.833, 0.427], [0.059, 0.042, 0.953], [0.120, 0.164, 0.715], [0.146, 0.496, 0.821], [0.147, 0.192, 0.418], [0.185, 0.437, 0.337], [0.218, 0.792, 0.771], [0.249, 0.959, 0.220], [0.338, 0.637, 0.339], [0.364, 0.546, 0.597], [0.369, 0.316, 0.636], [0.370, 0.692, 0.038], [0.388, 0.236, 0.170], [0.400, 0.970, 0.602], [0.478, 0.901, 0.986], [0.522, 0.401, 0.014], [0.600, 0.470, 0.398], [0.612, 0.736, 0.830], [0.630, 0.192, 0.962], [0.631, 0.816, 0.364], [0.636, 0.046, 0.403], [0.662, 0.137, 0.661], [0.751, 0.459, 0.780], [0.782, 0.292, 0.229], [0.815, 0.937, 0.663], [0.853, 0.692, 0.582], [0.854, 0.996, 0.179], [0.880, 0.664, 0.285], [0.941, 0.542, 0.047], [0.943, 0.333, 0.573], [0.993, 0.831, 0.021]]}

Record 3
{"formula": "Li5Mn9P16O56", "functional": "PBE+U", "state": "optimized geometry", "final_energy_ev_per_cell": -618.412, "lattice_angstrom": [[9.686, 0.000, 0.000], [-3.454, 10.455, 0.000], [-4.548, -4.026, 11.128]], "species": ["Li", "Li", "Li", "Li", "Li", "Mn", "Mn", "Mn", "Mn", "Mn", "Mn", "Mn", "Mn", "Mn", "P", "P", "P", "P", "P", "P", "P", "P", "P", "P", "P", "P", "P", "P", "P", "P", "O", "O", "O", "O", "O", "O", "O", "O", "O", "O", "O", "O", "O", "O", "O", "O", "O", "O", "O", "O", "O", "O", "O", "O", "O", "O", "O", "O", "O", "O", "O", "O", "O", "O", "O", "O", "O", "O", "O", "O", "O", "O", "O", "O", "O", "O", "O", "O", "O", "O", "O", "O", "O", "O", "O", "O"], "fractional_positions": [[0.000, 0.000, 0.000], [0.003, 0.003, 0.506], [0.184, 0.539, 0.292], [0.316, 0.042, 0.086], [0.320, 0.042, 0.613], [0.161, 0.522, 0.800], [0.414, 0.780, 0.500], [0.426, 0.790, 0.005], [0.545, 0.306, 0.375], [0.560, 0.312, 0.880], [0.762, 0.731, 0.718], [0.772, 0.735, 0.225], [0.897, 0.254, 0.597], [0.908, 0.269, 0.104], [0.051, 0.725, 0.953], [0.058, 0.735, 0.459], [0.263, 0.309, 0.141], [0.271, 0.320, 0.646], [0.417, 0.466, 0.022], [0.422, 0.477, 0.522], [0.509, 0.065, 0.437], [0.509, 0.817, 0.788], [0.511, 0.820, 0.288], [0.517, 0.068, 0.931], [0.804, 0.219, 0.311], [0.808, 0.976, 0.670], [0.813, 0.977, 0.168], [0.818, 0.229, 0.816], [0.900, 0.570, 0.078], [0.903, 0.575, 0.576], [0.041, 0.633, 0.038], [0.045, 0.635, 0.540], [0.116, 0.882, 0.535], [0.120, 0.874, 0.023], [0.143, 0.353, 0.687], [0.145, 0.340, 0.187], [0.179, 0.692, 0.913], [0.180, 0.709, 0.416], [0.201, 0.161, 0.066], [0.201, 0.171, 0.576], [0.276, 0.406, 0.059], [0.281, 0.413, 0.562], [0.349, 0.543, 0.939], [0.366, 0.563, 0.452], [0.397, 0.735, 0.330], [0.397, 0.736, 0.836], [0.404, 0.108, 0.343], [0.409, 0.804, 0.659], [0.416, 0.110, 0.831], [0.416, 0.808, 0.157], [0.423, 0.347, 0.452], [0.428, 0.990, 0.992], [0.429, 0.987, 0.502], [0.432, 0.342, 0.960], [0.434, 0.367, 0.242], [0.435, 0.378, 0.752], [0.572, 0.570, 0.129], [0.579, 0.976, 0.372], [0.584, 0.556, 0.635], [0.586, 0.973, 0.873], [0.645, 0.236, 0.284], [0.652, 0.846, 0.581], [0.659, 0.788, 0.812], [0.659, 0.842, 0.080], [0.665, 0.198, 0.525], [0.666, 0.257, 0.789], [0.668, 0.800, 0.315], [0.669, 0.201, 0.020], [0.738, 0.063, 0.230], [0.738, 0.487, 0.966], [0.744, 0.072, 0.733], [0.750, 0.468, 0.469], [0.884, 0.698, 0.635], [0.888, 0.666, 0.846], [0.888, 0.676, 0.356], [0.894, 0.055, 0.608], [0.894, 0.056, 0.105], [0.896, 0.699, 0.147], [0.902, 0.235, 0.443], [0.908, 0.931, 0.766], [0.914, 0.244, 0.946], [0.915, 0.304, 0.267], [0.917, 0.935, 0.265], [0.930, 0.310, 0.768], [0.963, 0.488, 0.152], [0.972, 0.500, 0.661]]}

Calculated E_form (eV per atom), listed in the same order as above: -2.563, -2.500, -2.514